! UAl2Pd5 PBE-GGA relaxed; values from VASP
&SYSTEM
  ibrav = 0, nat = 8, ntyp = 3
/
ATOMIC_SPECIES
U 238.03 U.upf
Al 26.98 Al.upf
Pd 106.42 Pd.upf
CELL_PARAMETERS angstrom
-2.0966 2.0966 7.4422
2.0966 -2.0966 7.4422
2.0966 2.0966 -7.4422
ATOMIC_POSITIONS crystal
U 0.0000 0.0000 0.0000
Al 0.2544 0.2544 0.0000
Al 0.7456 0.7456 0.0000
Pd 0.1438 0.6438 0.5000
Pd 0.3562 0.8562 0.5000
Pd 0.5000 0.5000 0.0000
Pd 0.6438 0.1438 0.5000
Pd 0.8562 0.3562 0.5000
! - Calculated formation energy: -0.712 eV/atom
! - Symmetry: I4/mmm, No. 139

! FePS3 PBE-GGA relaxed; values from VASP
&SYSTEM
  ibrav = 0, nat = 20, ntyp = 3
/
ATOMIC_SPECIES
Fe 55.84 Fe.upf
P 30.97 P.upf
S 32.06 S.upf
CELL_PARAMETERS angstrom
5.8749 0.0000 0.0000
-2.1039 7.3833 0.0000
-0.0001 -0.0108 10.3332
ATOMIC_POSITIONS crystal
Fe 0.2100 0.0060 0.0679
Fe 0.2097 0.0060 0.4322
Fe 0.7903 0.9940 0.5678
Fe 0.7900 0.9940 0.9321
P 0.2137 0.8407 0.7500
P 0.3048 0.1385 0.7500
P 0.6952 0.8615 0.2500
P 0.7863 0.1593 0.2500
S 0.0137 0.7722 0.5839
S 0.0138 0.7723 0.9159
S 0.0217 0.8109 0.2499
S 0.4752 0.2221 0.2501
S 0.4894 0.2069 0.5824
S 0.4895 0.2070 0.9178
S 0.5105 0.7930 0.0822
S 0.5106 0.7931 0.4176
S 0.5248 0.7779 0.7499
S 0.9783 0.1891 0.7501
S 0.9862 0.2277 0.0841
S 0.9863 0.2278 0.4161
! - Energy relative to the lowest polymorph listed for this composition: 0 meV/atom
! - Calculated formation energy: -0.558 eV/atom
! - Symmetry: P-1, No. 2

! Dy2PbS4 PBE-GGA relaxed; values from VASP
&SYSTEM
  ibrav = 0, nat = 14, ntyp = 3
/
ATOMIC_SPECIES
Dy 162.50 Dy.upf
Pb 207.20 Pb.upf
S 32.06 S.upf
CELL_PARAMETERS angstrom
-4.2710 4.2710 4.2589
4.2710 -4.2710 4.2589
4.2710 4.2710 -4.2589
ATOMIC_POSITIONS crystal
Dy 0.0035 0.1250 0.3785
Dy 0.3750 0.9965 0.1215
Dy 0.7465 0.6250 0.6215
Dy 0.8750 0.2535 0.8785
Pb 0.2500 0.7500 0.5000
Pb 0.5000 0.5000 0.0000
S 0.1065 0.5060 0.7453
S 0.1112 0.0107 0.7547
S 0.2560 0.3565 0.2453
S 0.4940 0.2393 0.6005
S 0.6388 0.8935 0.3995
S 0.6435 0.8888 0.8995
S 0.7607 0.3612 0.2547
S 0.9893 0.7440 0.1005
! - Calculated formation energy: -1.850 eV/atom
! - Symmetry: I-42d, No. 122